Entry 1:
## LaTi6O12 (GGA-PBE)

Data for a relaxed structure of LaTi6O12.

a b c (Å): 6.7074 7.2873 9.7655
angles (deg): 88.24 98.44 116.06
With the nearest neighbours (Å) after each atom.
Atoms (fractional coordinates):
Ti1 0.2738 0.1084 0.3290  5 O 1.87-2.05
Ti2 0.4302 0.9257 0.1514  5 O 1.84-2.05
O1 0.6670 0.3330 0.7813  1 Ti 1.84
Ti3 0.2096 0.9709 0.6226  4 O 1.83-1.93
O2 0.4632 0.4018 0.3603  2 Ti 1.86-1.95
O3 0.8425 0.1257 0.5667  2 Ti 1.87-1.93
O4 0.5368 0.5982 0.6397  2 Ti 1.86-1.95
O5 0.3330 0.6670 0.2187  1 Ti 1.84
La1 0.7458 0.4412 0.5599  5 O 2.33-2.60
O6 0.1148 0.4641 0.7032  2 Ti 1.89-2.02
O7 0.8852 0.5359 0.2968  2 Ti 1.89-2.02
Ti4 0.7904 0.0291 0.3774  4 O 1.83-1.93
O8 0.5694 0.4378 0.0997  2 Ti 1.74-1.89
O9 0.0376 0.2181 0.2964  2 Ti 1.89-2.05
O10 0.9299 0.6383 0.9807  2 Ti 1.87
O11 0.6607 0.1537 0.0557  4 Ti 1.95-2.05
O12 0.1832 0.0115 0.1277  4 Ti 1.99-2.08
O13 0.6959 0.7712 0.4429  1 Ti 1.83
O14 0.4306 0.5622 0.9003  2 Ti 1.74-1.89
Ti5 0.0694 0.9064 0.9223  5 O 1.87-2.08
La2 0.2542 0.5588 0.4401  5 O 2.33-2.60
O15 0.0701 0.3617 0.0193  2 Ti 1.87
O16 0.3393 0.8463 0.9443  4 Ti 1.95-2.05
Ti6 0.8544 0.4386 0.1139  4 O 1.87-1.95
O17 0.4414 0.9008 0.6674  3 Ti 1.83-2.05
O18 0.3041 0.2288 0.5571  1 Ti 1.83
O19 0.2681 0.1221 0.8167  3 Ti 1.93-2.12
Ti7 0.9306 0.0936 0.0777  5 O 1.87-2.08
Ti8 0.1456 0.5614 0.8861  4 O 1.87-1.95
Ti9 0.6210 0.5996 0.2421  3 O 1.74-1.93
O20 0.1575 0.8743 0.4333  2 Ti 1.87-1.93
Ti10 0.7262 0.8916 0.6710  5 O 1.87-2.05
Ti11 0.3790 0.4004 0.7579  3 O 1.74-1.93
O21 0.9624 0.7819 0.7036  2 Ti 1.89-2.05
O22 0.5586 0.0992 0.3326  3 Ti 1.83-2.05
O23 0.8168 0.9885 0.8723  4 Ti 1.99-2.08
O24 0.7319 0.8779 0.1833  3 Ti 1.93-2.12
Ti12 0.5698 0.0743 0.8486  5 O 1.84-2.05

E_form (meV/atom): -3326
Calculated volume (Å³ per cell): 424
Total DFT energy (no corrections) (eV per atom): -8.771
Excess energy over the best structure of this formula in the dataset (meV/atom): 122
Magnetic moment (μB per formula unit): 0.02

=====

Entry 2:
## La5Ti4O15 (GGA-PBE)

Data for a relaxed structure of La5Ti4O15.

a b c (Å): 5.5583 5.5583 22.4611
angles (deg): 90.00 90.00 120.00
With the nearest neighbours (Å) after each atom.
Atoms (fractional coordinates):
O1 0.2277 0.8826 0.3036  1 Ti 1.90
O2 0.1225 0.3267 0.5993  2 Ti 1.98-2.06
O3 0.7723 0.1174 0.6964  1 Ti 1.90
Ti1 0.0000 0.0000 0.6574  6 O 1.90-2.06
O4 0.1174 0.7723 0.8036  1 Ti 1.90
O5 0.8775 0.6733 0.4007  2 Ti 1.98-2.06
O6 0.5000 0.5000 0.5000  2 Ti 1.97
O7 0.2042 0.8775 0.5993  2 Ti 1.98-2.06
La1 0.0000 0.0000 0.0000  12 O 2.74-2.78
O8 0.5000 0.0000 0.5000  2 Ti 1.97
La2 0.6667 0.3333 0.2853  6 O 2.51-2.55
La3 0.3333 0.6667 0.8909  6 O 2.52-2.56
La4 0.3333 0.6667 0.3909  6 O 2.52-2.56
Ti2 0.0000 0.0000 0.8426  6 O 1.90-2.06
Ti3 0.0000 0.0000 0.3426  6 O 1.90-2.06
O9 0.3451 0.1174 0.1964  1 Ti 1.90
O10 0.2042 0.3267 0.0993  2 Ti 1.98-2.06
O11 0.7958 0.1225 0.4007  2 Ti 1.98-2.06
O12 0.3451 0.2277 0.6964  1 Ti 1.90
O13 0.6733 0.8775 0.0993  2 Ti 1.98-2.06
O14 0.1174 0.3451 0.3036  1 Ti 1.90
La5 0.3333 0.6667 0.7147  6 O 2.51-2.55
O15 0.0000 0.5000 0.0000  2 Ti 1.97
O16 0.5000 0.0000 0.0000  2 Ti 1.97
O17 0.2277 0.3451 0.8036  1 Ti 1.90
O18 0.8775 0.2042 0.9007  2 Ti 1.98-2.06
Ti4 0.6667 0.3333 0.9489  6 O 1.97-1.98
O19 0.6733 0.7958 0.5993  2 Ti 1.98-2.06
O20 0.6549 0.7723 0.3036  1 Ti 1.90
Ti5 0.0000 0.0000 0.1574  6 O 1.90-2.06
La6 0.0000 0.0000 0.5000  12 O 2.74-2.78
Ti6 0.3333 0.6667 0.5511  6 O 1.97-1.98
O21 0.0000 0.5000 0.5000  2 Ti 1.97
O22 0.8826 0.2277 0.1964  1 Ti 1.90
O23 0.3267 0.2042 0.4007  2 Ti 1.98-2.06
La7 0.6667 0.3333 0.1091  6 O 2.52-2.56
O24 0.8826 0.6549 0.6964  1 Ti 1.90
Ti7 0.6667 0.3333 0.4489  6 O 1.97-1.98
O25 0.3267 0.1225 0.9007  2 Ti 1.98-2.06
La8 0.3333 0.6667 0.2147  6 O 2.51-2.55
O26 0.7958 0.6733 0.9007  2 Ti 1.98-2.06
O27 0.6549 0.8826 0.8036  1 Ti 1.90
O28 0.5000 0.5000 0.0000  2 Ti 1.97
La9 0.6667 0.3333 0.7853  6 O 2.51-2.55
La10 0.6667 0.3333 0.6091  6 O 2.52-2.56
O29 0.7723 0.6549 0.1964  1 Ti 1.90
Ti8 0.3333 0.6667 0.0511  6 O 1.97-1.98
O30 0.1225 0.7958 0.0993  2 Ti 1.98-2.06

E_form (meV/atom): -3718
Calculated volume (Å³ per cell): 601
Total DFT energy (no corrections) (eV per atom): -8.725
Magnetic moment (μB per formula unit): 0.68